Record 1
Entry from Materials Project: a relaxed Fe5O2F8 crystal (PBE+U).

Cell: 8.0553 4.7690 10.7486 Å, 90.00 116.54 90.00°
Closest atoms and distances in Å follow each position.
Space group P2_1/c (No. 14)
Unique sites:
Fe (0.0000, 0.0000, 0.0000) [2 per cell]  2 O 1.96, 4 F 2.11-2.13
Fe (0.1967, 0.0211, 0.7872) [4 per cell]  1 O 2.07, 5 F 2.07-2.19
Fe (0.3763, 0.0267, 0.5936) [4 per cell]  1 O 1.89, 4 F 2.06-2.10
O (0.1779, 0.2096, 0.6082) [4 per cell]  3 Fe 1.89-2.07
F (0.0215, 0.6926, 0.6831) [4 per cell]  3 Fe 2.07-2.11
F (0.2211, 0.6942, 0.4744) [4 per cell]  3 Fe 2.07-2.19
F (0.3945, 0.1934, 0.4234) [4 per cell]  3 Fe 2.06-2.20
F (0.4202, 0.6966, 0.2715) [4 per cell]  3 Fe 2.08-2.15

***

Record 2
Entry from Materials Project: a relaxed Fe4O7F crystal (PBE+U).

Cell: 5.5303 9.2877 5.5455 Å, 90.00 114.51 90.00°
Closest atoms and distances in Å follow each position.
Space group Pc (No. 7)
Unique sites:
Fe (0.0000, 0.1184, 0.0000) [2 per cell]  5 O 1.96-2.03, 1 F 2.06
Fe (0.4762, 0.3814, 0.0133) [2 per cell]  5 O 1.92-1.98, 1 F 2.12
Fe (0.4885, 0.1215, 0.4812) [2 per cell]  5 O 1.93-1.98, 1 F 2.09
Fe (0.9860, 0.3730, 0.4987) [2 per cell]  6 O 1.95-2.08
O (0.1427, 0.2784, 0.8464) [2 per cell]  3 Fe 1.94-2.03
O (0.1489, 0.2191, 0.3427) [2 per cell]  3 Fe 1.93-2.06
O (0.3315, 0.4679, 0.6677) [2 per cell]  3 Fe 1.92-1.98
O (0.3448, 0.0213, 0.1434) [2 per cell]  3 Fe 1.94-1.96
O (0.6399, 0.2771, 0.3431) [2 per cell]  3 Fe 1.93-1.98
O (0.8261, 0.4696, 0.1565) [2 per cell]  3 Fe 1.94-2.08
O (0.8344, 0.0310, 0.6471) [2 per cell]  3 Fe 1.94-2.01
F (0.6422, 0.2253, 0.8478) [2 per cell]  3 Fe 2.06-2.12

***

In the order shown, the computed calculated total energy values come out to -5.71 -6.14 eV/atom.
In the order shown, the computed formation enthalpy at 0 K values come out to -2.296 -1.461 eV/atom.